Record 1
Here is a geometry-optimized PmBr2 structure from Materials Project. Energies are from r2SCAN.

It has space group P4_2/mnm (No. 136), with a = 7.445 Å, b = 7.445 Å, c = 3.699 Å, α = 90.00°, β = 90.00° and γ = 90.00°. Symmetry generates all atoms from Pm at (0.000, 0.000, 0.000) and Br at (0.220, 0.220, 0.500).

The value obtained for the total magnetic moment is 0.47 μB per cell. Its formation enthalpy at 0 K is -42.775 kcal/mol of atoms.


Record 2
Here is a geometry-optimized YMn2Ge2 structure from Materials Project. Energies are from r2SCAN.

It has space group I4/mmm (No. 139), with a = 4.080 Å, b = 4.080 Å, c = 10.975 Å, α = 90.00°, β = 90.00° and γ = 90.00°. Symmetry generates all atoms from Y at (0.000, 0.000, 0.000), Mn at (0.000, 0.500, 0.250) and Ge at (0.000, 0.000, 0.387).

The value obtained for the total magnetic moment is 14.73 μB per cell. Its formation enthalpy at 0 K is -14.449 kcal/mol of atoms.


Record 3
Here is a geometry-optimized AlGa3N4 structure from Materials Project. Energies are from r2SCAN.

It has space group P-43m (No. 215), with a = 4.472 Å, b = 4.472 Å, c = 4.472 Å, α = 90.00°, β = 90.00° and γ = 90.00°. Symmetry generates all atoms from Al at (0.000, 0.000, 0.000), Ga at (0.000, 0.500, 0.500) and N at (0.244, 0.244, 0.244).

For the energy above the lowest structure with this stoichiometry, the calculation gives 8 meV per atom. The value obtained for the total magnetic moment is 0.00 μB per cell. Its formation enthalpy at 0 K is -21.016 kcal/mol of atoms.


Record 4
Here is a geometry-optimized Be2V structure from Materials Project. Energies are from r2SCAN.

It has space group P6_3/mmc (No. 194), with a = 4.3615 Å, b = 4.3615 Å, c = 7.0332 Å, α = 90.00°, β = 90.00° and γ = 120.00°. Symmetry generates all atoms from Be at (0.0000, 0.0000, 0.0000), Be at (0.1714, 0.3428, 0.2500) and V at (0.3333, 0.6667, 0.5671).

The value obtained for the total magnetic moment is 0.01 μB per cell. Its formation enthalpy at 0 K is -5.507 kcal/mol of atoms.


Record 5
Here is a geometry-optimized HoBiRh structure from Materials Project. Energies are from r2SCAN.

It has space group P-62m (No. 189), with a = 7.5967 Å, b = 7.5967 Å, c = 3.9621 Å, α = 90.00°, β = 90.00° and γ = 120.00°. Symmetry generates all atoms from Ho at (0.0000, 0.6013, 0.0000), Bi at (0.0000, 0.2666, 0.5000), Rh at (0.0000, 0.0000, 0.0000) and Rh at (0.3333, 0.6667, 0.5000).

The value obtained for the total magnetic moment is 0.00 μB per cell. Its formation enthalpy at 0 K is -18.925 kcal/mol of atoms.


Record 6
Here is a geometry-optimized Nb4V2Si5 structure from Materials Project. Energies are from r2SCAN.

It has space group Ibam (No. 72), with a = 7.876 Å, b = 16.423 Å, c = 5.001 Å, α = 90.00°, β = 90.00° and γ = 90.00°. Symmetry generates all atoms from Nb at (0.115, 0.144, 0.000), Nb at (0.245, 0.436, 0.000), V at (0.000, 0.309, 0.250), Si at (0.000, 0.000, 0.250), Si at (0.083, 0.433, 0.500) and Si at (0.205, 0.217, 0.500).

The value obtained for the total magnetic moment is 0.00 μB per cell. Its formation enthalpy at 0 K is -15.226 kcal/mol of atoms.


Record 7
Here is a geometry-optimized TmBr3 structure from Materials Project. Energies are from r2SCAN.

It has space group P6_3/mmc (No. 194), with a = 9.9764 Å, b = 9.9764 Å, c = 3.6714 Å, α = 90.00°, β = 90.00° and γ = 120.00°. Symmetry generates all atoms from Tm at (0.3333, 0.6667, 0.2500) and Br at (0.2129, 0.4257, 0.7500).

The value obtained for the total magnetic moment is 0.00 μB per cell. Its formation enthalpy at 0 K is -47.290 kcal/mol of atoms.


Record 8
Here is a geometry-optimized Ta2V3Si structure from Materials Project. Energies are from r2SCAN.

It has space group P6_3/mmc (No. 194), with a = 4.9160 Å, b = 4.9160 Å, c = 8.3619 Å, α = 90.00°, β = 90.00° and γ = 120.00°. Symmetry generates all atoms from Ta at (0.3333, 0.6667, 0.0616), V at (0.1706, 0.3412, 0.7500) and Si at (0.0000, 0.0000, 0.0000).

The value obtained for the total magnetic moment is 0.00 μB per cell. Its formation enthalpy at 0 K is -8.334 kcal/mol of atoms.


Record 9
Here is a geometry-optimized NaCu2O2 structure from Materials Project. Energies are from r2SCAN.

It has space group P4_2/nmc (No. 137, origin choice 2), with a = 5.979 Å, b = 5.979 Å, c = 13.048 Å, α = 90.00°, β = 90.00° and γ = 90.00°. Symmetry generates all atoms from Na at (0.012, 0.250, 0.173), Cu at (0.001, 0.750, 0.506), Cu at (0.002, 0.750, 0.141), O at (0.030, 0.250, 0.353) and O at (0.033, 0.750, 0.366).

For the energy above the lowest structure with this stoichiometry, the calculation gives 7 meV per atom. The value obtained for the total magnetic moment is 8.00 μB per cell. Its formation enthalpy at 0 K is -23.472 kcal/mol of atoms.


Record 10
Here is a geometry-optimized Eu2AgAu structure from Materials Project. Energies are from r2SCAN.

It has space group Fm-3m (No. 225), with a = 7.516 Å, b = 7.516 Å, c = 7.516 Å, α = 90.00°, β = 90.00° and γ = 90.00°. Symmetry generates all atoms from Eu at (0.250, 0.250, 0.250), Ag at (0.000, 0.000, 0.000) and Au at (0.000, 0.000, 0.500).

The value obtained for the total magnetic moment is 59.26 μB per cell. Its formation enthalpy at 0 K is -13.190 kcal/mol of atoms.


Record 11
Here is a geometry-optimized Ge3Rh2S3 structure from Materials Project. Energies are from r2SCAN.

It has space group R-3 (No. 148, hexagonal axes), with a = 11.7415 Å, b = 11.7415 Å, c = 14.4522 Å, α = 90.00°, β = 90.00° and γ = 120.00°. Symmetry generates all atoms from Ge at (0.0174, 0.1802, 0.3390), Ge at (0.0562, 0.5989, 0.6017), Rh at (0.0000, 0.0000, 0.2485), Rh at (0.0006, 0.4988, 0.7527), S at (0.0260, 0.1884, 0.8340) and S at (0.0499, 0.5957, 0.0954).

The value obtained for the total magnetic moment is 0.00 μB per cell. Its formation enthalpy at 0 K is -13.994 kcal/mol of atoms.


Record 12
Here is a geometry-optimized Li7VAs4 structure from Materials Project. Energies are from r2SCAN.

It has space group C2/c (No. 15), with a = 13.279 Å, b = 6.026 Å, c = 11.925 Å, α = 90.00°, β = 116.66° and γ = 90.00°. Symmetry generates all atoms from Li at (0.000, 0.239, 0.250), Li at (0.001, 0.250, 0.007), Li at (0.240, 0.229, 0.121), Li at (0.250, 0.226, 0.375), V at (0.000, 0.261, 0.750), As at (0.117, 0.039, 0.694) and As at (0.117, 0.484, 0.923).

The value obtained for the total magnetic moment is 0.00 μB per cell. Its formation enthalpy at 0 K is -18.244 kcal/mol of atoms.


Please write out number 12 again, unchanged.
Here is a geometry-optimized Li7VAs4 structure from Materials Project. Energies are from r2SCAN.

It has space group C2/c (No. 15), with a = 13.279 Å, b = 6.026 Å, c = 11.925 Å, α = 90.00°, β = 116.66° and γ = 90.00°. Symmetry generates all atoms from Li at (0.000, 0.239, 0.250), Li at (0.001, 0.250, 0.007), Li at (0.240, 0.229, 0.121), Li at (0.250, 0.226, 0.375), V at (0.000, 0.261, 0.750), As at (0.117, 0.039, 0.694) and As at (0.117, 0.484, 0.923).

The value obtained for the total magnetic moment is 0.00 μB per cell. Its formation enthalpy at 0 K is -18.244 kcal/mol of atoms.